(1)
Density functional theory data (meta-GGA r2SCAN) for Tl3AsSe4 after structural relaxation.

Cell lengths 9.3148, 11.2279, 9.5530 Å; angles 90.00, 90.00, 90.00 degrees
With the nearest neighbours (Å) after each atom.
Atoms (fractional coordinates):
Tl 0.0675 0.0525 0.1920  5 Se 3.20-3.41
Tl 0.0675 0.4475 0.1920  5 Se 3.20-3.41
Tl 0.1048 0.7500 0.3879  4 Se 3.15-3.35
Tl 0.3952 0.2500 0.8879  4 Se 3.15-3.35
Tl 0.4325 0.5525 0.6920  5 Se 3.20-3.41
Tl 0.4325 0.9475 0.6920  5 Se 3.20-3.41
Tl 0.5675 0.0525 0.3080  5 Se 3.20-3.41
Tl 0.5675 0.4475 0.3080  5 Se 3.20-3.41
Tl 0.6048 0.7500 0.1121  4 Se 3.15-3.35
Tl 0.8952 0.2500 0.6121  4 Se 3.15-3.35
Tl 0.9325 0.5525 0.8080  5 Se 3.20-3.41
Tl 0.9325 0.9475 0.8080  5 Se 3.20-3.41
As 0.2192 0.7500 0.9729  4 Se 2.33-2.35
As 0.2808 0.2500 0.4729  4 Se 2.33-2.35
As 0.7192 0.7500 0.5271  4 Se 2.33-2.35
As 0.7808 0.2500 0.0271  4 Se 2.33-2.35
Se 0.0091 0.2500 0.9270  1 As 2.33
Se 0.1512 0.0801 0.5332  1 As 2.33
Se 0.1512 0.4199 0.5332  1 As 2.33
Se 0.1880 0.7500 0.7290  1 As 2.35
Se 0.3120 0.2500 0.2290  1 As 2.35
Se 0.3488 0.5801 0.0332  1 As 2.33
Se 0.3488 0.9199 0.0332  1 As 2.33
Se 0.4909 0.7500 0.4270  1 As 2.33
Se 0.5091 0.2500 0.5730  1 As 2.33
Se 0.6512 0.0801 0.9668  1 As 2.33
Se 0.6512 0.4199 0.9668  1 As 2.33
Se 0.6880 0.7500 0.7710  1 As 2.35
Se 0.8120 0.2500 0.2710  1 As 2.35
Se 0.8488 0.5801 0.4668  1 As 2.33
Se 0.8488 0.9199 0.4668  1 As 2.33
Se 0.9909 0.7500 0.0730  1 As 2.33

Output
* E_form: -355 meV/atom
* SG: No. 62
* magnetic moment: 0.00 μB/f.u.
* VASP energy: -234.331 eV/f.u.


(2)
Density functional theory data (meta-GGA r2SCAN) for In5CuTe8 after structural relaxation.

Cell lengths 7.6668, 7.6668, 8.8464 Å; angles 90.03, 90.03, 109.58 degrees
With the nearest neighbours (Å) after each atom.
Atoms (fractional coordinates):
In 0.0000 0.0000 0.0000  4 Te 2.79-2.87
In 0.0017 0.5207 0.2421  4 Te 2.79-2.87
In 0.4793 0.9983 0.7579  4 Te 2.79-2.87
In 0.4810 0.5190 0.5000  4 Te 2.79-2.87
In 0.9904 0.0096 0.5000  4 Te 2.82
Cu 0.4901 0.5099 0.0000  4 Te 2.59-2.60
Te 0.3405 0.6129 0.7674  1 Cu 2.60, 2 In 2.79
Te 0.3794 0.1243 0.4760  3 In 2.82-2.87
Te 0.3847 0.1519 0.0191  1 Cu 2.59, 2 In 2.79-2.80
Te 0.3871 0.6595 0.2326  1 Cu 2.60, 2 In 2.79
Te 0.8313 0.1253 0.2479  3 In 2.82-2.87
Te 0.8481 0.6153 0.9809  1 Cu 2.59, 2 In 2.79-2.80
Te 0.8747 0.1687 0.7521  3 In 2.82-2.87
Te 0.8757 0.6206 0.5240  3 In 2.82-2.87

Output
* E_form: -433 meV/atom
* SG: No. 5
* magnetic moment: 0.00 μB/f.u.
* VASP energy: -333.143 eV/f.u.


(3)
Density functional theory data (meta-GGA r2SCAN) for HoFeB4 after structural relaxation.

Cell lengths 5.8739, 11.3723, 3.3973 Å; angles 90.00, 90.00, 90.00 degrees
With the nearest neighbours (Å) after each atom.
Atoms (fractional coordinates):
Ho 0.1271 0.1503 0.0000  14 B 2.57-2.71
Ho 0.3729 0.6503 0.0000  14 B 2.57-2.71
Ho 0.6271 0.3497 0.0000  14 B 2.57-2.71
Ho 0.8729 0.8497 0.0000  14 B 2.57-2.71
Fe 0.1289 0.4161 0.0000  10 B 2.23-2.27, 1 Fe 2.44
Fe 0.3711 0.9161 0.0000  10 B 2.23-2.27, 1 Fe 2.44
Fe 0.6289 0.0839 0.0000  10 B 2.23-2.27, 1 Fe 2.44
Fe 0.8711 0.5839 0.0000  10 B 2.23-2.27, 1 Fe 2.44
B 0.0228 0.6908 0.5000  3 B 1.72-1.83
B 0.1126 0.5467 0.5000  3 B 1.70-1.72
B 0.1383 0.9672 0.5000  3 B 1.72-1.79
B 0.2186 0.8164 0.5000  3 B 1.78-1.83
B 0.2814 0.3164 0.5000  3 B 1.78-1.83
B 0.3617 0.4672 0.5000  3 B 1.72-1.79
B 0.3874 0.0467 0.5000  3 B 1.70-1.72
B 0.4772 0.1908 0.5000  3 B 1.72-1.83
B 0.5228 0.8092 0.5000  3 B 1.72-1.83
B 0.6126 0.9533 0.5000  3 B 1.70-1.72
B 0.6383 0.5328 0.5000  3 B 1.72-1.79
B 0.7186 0.6836 0.5000  3 B 1.78-1.83
B 0.7814 0.1836 0.5000  3 B 1.78-1.83
B 0.8617 0.0328 0.5000  3 B 1.72-1.79
B 0.8874 0.4533 0.5000  3 B 1.70-1.72
B 0.9772 0.3092 0.5000  3 B 1.72-1.83

Output
* E_form: -607 meV/atom
* SG: No. 55
* magnetic moment: 1.45 μB/f.u.
* VASP energy: -80.321 eV/f.u.


(4)
Density functional theory data (meta-GGA r2SCAN) for NdCdPd after structural relaxation.

Cell lengths 7.6972, 7.6972, 4.0301 Å; angles 90.00, 90.00, 120.00 degrees
With the nearest neighbours (Å) after each atom.
Atoms (fractional coordinates):
Nd 0.0000 0.5933 0.0000  5 Pd 3.08-3.13, 6 Cd 3.31-3.40
Nd 0.4067 0.4067 0.0000  5 Pd 3.08-3.13, 6 Cd 3.31-3.40
Nd 0.5933 0.0000 0.0000  5 Pd 3.08-3.13, 6 Cd 3.31-3.40
Cd 0.0000 0.2517 0.5000  4 Pd 2.80-2.93
Cd 0.2517 0.0000 0.5000  4 Pd 2.80-2.93
Cd 0.7483 0.7483 0.5000  4 Pd 2.80-2.93
Pd 0.0000 0.0000 0.0000  6 Cd 2.80
Pd 0.3333 0.6667 0.5000  3 Cd 2.93, 6 Nd 3.08
Pd 0.6667 0.3333 0.5000  3 Cd 2.93, 6 Nd 3.08

Output
* E_form: -708 meV/atom
* SG: No. 189
* magnetic moment: 0.00 μB/f.u.
* VASP energy: -74.607 eV/f.u.